# 1
First-principles (PBE-GGA) data for a geometry-optimized TiFeCoSi structure, as listed in the Materials Project database.

The calculation puts the electronic total energy at -31.522 eV per cell. Its symmetry is F-43m, No. 216.

Cell: 4.0478 4.0478 4.0478 Å, 60.00 60.00 60.00°
Closest atoms and distances in Å follow each position.
Positions (direct):
Ti  0.0000  0.0000  0.0000  4 Fe 2.48, 4 Co 2.48
Fe  0.2500  0.2500  0.2500  4 Ti 2.48, 4 Si 2.48
Co  0.7500  0.7500  0.7500  4 Ti 2.48, 4 Si 2.48
Si  0.5000  0.5000  0.5000  4 Fe 2.48, 4 Co 2.48

***

# 2
First-principles (PBE-GGA) data for a geometry-optimized Nd6Fe13Hg structure, as listed in the Materials Project database.

The calculation puts the electronic total energy at -279.781 eV per cell. Its symmetry is I4/mcm, No. 140.

Cell: 12.8275 12.8275 12.8275 Å, 143.22 143.22 52.99°
Closest atoms and distances in Å follow each position.
Positions (direct):
Nd  0.0251  0.5251  0.1756  3 Fe 2.93-3.09
Nd  0.1060  0.1060  0.0000  12 Fe 3.02-3.27, 1 Hg 3.31
Nd  0.1505  0.9749  0.5000  3 Fe 2.93-3.09
Nd  0.3495  0.8495  0.8244  3 Fe 2.93-3.09
Nd  0.3940  0.3940  0.0000  12 Fe 3.02-3.27, 1 Hg 3.31
Nd  0.4749  0.6505  0.5000  3 Fe 2.93-3.09
Nd  0.5251  0.3495  0.5000  3 Fe 2.93-3.09
Nd  0.6060  0.6060  0.0000  12 Fe 3.02-3.27, 1 Hg 3.31
Nd  0.6505  0.1505  0.1756  3 Fe 2.93-3.09
Nd  0.8495  0.0251  0.5000  3 Fe 2.93-3.09
Nd  0.8940  0.8940  0.0000  12 Fe 3.02-3.27, 1 Hg 3.31
Nd  0.9749  0.4749  0.8244  3 Fe 2.93-3.09
Fe  0.0000  0.5000  0.5000  12 Fe 2.41-2.56
Fe  0.0180  0.2903  0.5000  7 Fe 2.52-2.65
Fe  0.0667  0.2104  0.2771  10 Fe 2.41-2.65
Fe  0.1181  0.6181  0.8560  9 Fe 2.46-2.75
Fe  0.2097  0.4820  0.5000  7 Fe 2.52-2.65
Fe  0.2104  0.9333  0.1437  10 Fe 2.41-2.65
Fe  0.2379  0.7379  0.8560  9 Fe 2.46-2.75
Fe  0.2621  0.1181  0.5000  9 Fe 2.46-2.75
Fe  0.2896  0.4333  0.7229  10 Fe 2.41-2.65
Fe  0.2903  0.7903  0.2723  7 Fe 2.52-2.65
Fe  0.3819  0.2379  0.5000  9 Fe 2.46-2.75
Fe  0.4333  0.7104  0.1437  10 Fe 2.41-2.65
Fe  0.4820  0.9820  0.2723  7 Fe 2.52-2.65
Fe  0.5000  0.0000  0.5000  12 Fe 2.41-2.56
Fe  0.5180  0.0180  0.7277  7 Fe 2.52-2.65
Fe  0.5667  0.2896  0.8563  10 Fe 2.41-2.65
Fe  0.6181  0.7621  0.5000  9 Fe 2.46-2.75
Fe  0.7097  0.2097  0.7277  7 Fe 2.52-2.65
Fe  0.7104  0.5667  0.2771  10 Fe 2.41-2.65
Fe  0.7379  0.8819  0.5000  9 Fe 2.46-2.75
Fe  0.7621  0.2621  0.1440  9 Fe 2.46-2.75
Fe  0.7896  0.0667  0.8563  10 Fe 2.41-2.65
Fe  0.7903  0.5180  0.5000  7 Fe 2.52-2.65
Fe  0.8819  0.3819  0.1440  9 Fe 2.46-2.75
Fe  0.9333  0.7896  0.7229  10 Fe 2.41-2.65
Fe  0.9820  0.7097  0.5000  7 Fe 2.52-2.65
Hg  0.2500  0.2500  0.0000  10 Nd 3.31-3.36
Hg  0.7500  0.7500  0.0000  10 Nd 3.31-3.36

***

# 3
First-principles (PBE-GGA) data for a geometry-optimized KCeMg6 structure, as listed in the Materials Project database.

The calculation puts the electronic total energy at -29.472 eV per cell.

Cell: 5.4053 7.0247 11.9292 Å, 90.00 90.00 90.00°
Closest atoms and distances in Å follow each position.
Positions (direct):
K  0.0000  0.5000  0.3494  10 Mg 3.35-3.57, 2 Ce 3.56
K  0.0000  0.0000  0.8494  10 Mg 3.35-3.57, 2 Ce 3.56
Ce  0.5000  0.5000  0.1552  10 Mg 3.29-3.63, 2 K 3.56
Ce  0.5000  0.0000  0.6552  10 Mg 3.29-3.63, 2 K 3.56
Mg  0.0000  0.2525  0.0879  2 Ce 3.31, 8 Mg 3.33-3.55, 2 K 3.35-3.57
Mg  0.0000  0.7475  0.0879  2 Ce 3.31, 8 Mg 3.33-3.55, 2 K 3.35-3.57
Mg  0.0000  0.5000  0.8331  10 Mg 3.31-3.50, 2 K 3.52
Mg  0.5000  0.2676  0.9159  7 Mg 3.27-3.52, 2 Ce 3.29-3.63, 2 K 3.39
Mg  0.5000  0.7324  0.9159  7 Mg 3.27-3.52, 2 Ce 3.29-3.63, 2 K 3.39
Mg  0.5000  0.5000  0.6548  10 Mg 3.33-3.52, 2 Ce 3.51
Mg  0.0000  0.7525  0.5879  2 Ce 3.31, 8 Mg 3.33-3.55, 2 K 3.35-3.57
Mg  0.0000  0.2475  0.5879  2 Ce 3.31, 8 Mg 3.33-3.55, 2 K 3.35-3.57
Mg  0.0000  0.0000  0.3331  10 Mg 3.31-3.50, 2 K 3.52
Mg  0.5000  0.7676  0.4159  7 Mg 3.27-3.52, 2 Ce 3.29-3.63, 2 K 3.39
Mg  0.5000  0.2324  0.4159  7 Mg 3.27-3.52, 2 Ce 3.29-3.63, 2 K 3.39
Mg  0.5000  0.0000  0.1548  10 Mg 3.33-3.52, 2 Ce 3.51

***

# 4
First-principles (PBE-GGA) data for a geometry-optimized DyCo2Ge2 structure, as listed in the Materials Project database.

The calculation puts the electronic total energy at -31.133 eV per cell. Its symmetry is I4/mmm, No. 139.

Cell: 5.7889 5.7889 5.7889 Å, 139.96 139.96 57.91°
Closest atoms and distances in Å follow each position.
Positions (direct):
Dy  0.0000  0.0000  0.0000  8 Ge 3.09, 8 Co 3.22
Co  0.2500  0.7500  0.5000  4 Ge 2.34
Co  0.7500  0.2500  0.5000  4 Ge 2.34
Ge  0.3721  0.3721  0.0000  4 Co 2.34, 1 Ge 2.59
Ge  0.6279  0.6279  0.0000  4 Co 2.34, 1 Ge 2.59

***

# 5
First-principles (PBE-GGA) data for a geometry-optimized HgO structure, as listed in the Materials Project database.

The calculation puts the electronic total energy at -23.363 eV per cell. Its symmetry is Pnma, No. 62.

Cell: 6.7397 5.7966 3.7389 Å, 90.00 90.00 90.00°
Closest atoms and distances in Å follow each position.
Positions (direct):
Hg  0.1153  0.2500  0.2429  2 O 2.06-2.07
Hg  0.3847  0.7500  0.7429  2 O 2.06-2.07
Hg  0.6153  0.2500  0.2571  2 O 2.06-2.07
Hg  0.8847  0.7500  0.7571  2 O 2.06-2.07
O  0.1378  0.7500  0.0690  2 Hg 2.06-2.07
O  0.3622  0.2500  0.5690  2 Hg 2.06-2.07
O  0.6378  0.7500  0.4310  2 Hg 2.06-2.07
O  0.8622  0.2500  0.9310  2 Hg 2.06-2.07

***

# 6
First-principles (PBE-GGA) data for a geometry-optimized Ba6CaNb2IrCl2O12 structure, as listed in the Materials Project database.

The calculation puts the electronic total energy at -165.348 eV per cell. Its symmetry is P-1, No. 2.

Cell: 5.9780 6.2085 15.7860 Å, 97.25 90.39 118.67°
Closest atoms and distances in Å follow each position.
Positions (direct):
Ba  0.0745  0.1635  0.2308  6 O 2.64-2.92
Ba  0.2304  0.4523  0.6337  3 O 2.60-2.61
Ba  0.2620  0.5087  0.8809  7 O 2.73-3.05, 1 Ir 3.04
Ba  0.7380  0.4913  0.1191  7 O 2.73-3.05, 1 Ir 3.04
Ba  0.7696  0.5477  0.3663  3 O 2.60-2.61
Ba  0.9255  0.8365  0.7692  6 O 2.64-2.92
Ca  0.0000  0.0000  0.0000  4 O 2.27-2.28
Nb  0.3976  0.8088  0.1894  4 O 1.91-2.06
Nb  0.6024  0.1912  0.8106  4 O 1.91-2.06
Ir  0.5000  0.0000  0.0000  4 O 2.02-2.12
Cl  0.1719  0.3437  0.4280  4 Ba 3.12-3.40
Cl  0.8281  0.6563  0.5720  4 Ba 3.12-3.40
O  0.1112  0.7284  0.2565  1 Nb 1.91
O  0.2311  0.9215  0.0944  1 Ir 2.12, 1 Nb 2.15, 1 Ca 2.27
O  0.2383  0.4719  0.1163  1 Nb 2.02
O  0.3174  0.0761  0.9100  1 Ir 2.02, 1 Nb 2.24
O  0.3786  0.2668  0.7465  1 Nb 1.93
O  0.4059  0.8215  0.7594  1 Nb 2.06
O  0.5941  0.1785  0.2406  1 Nb 2.06
O  0.6214  0.7332  0.2535  1 Nb 1.93
O  0.6826  0.9239  0.0900  1 Ir 2.02, 1 Nb 2.24
O  0.7617  0.5281  0.8837  1 Nb 2.02
O  0.7689  0.0785  0.9056  1 Ir 2.12, 1 Nb 2.15, 1 Ca 2.27
O  0.8888  0.2716  0.7435  1 Nb 1.91

***

Table of volume (Å³ per atom), in record order: 11.72, 18.80, 28.31, 15.91, 18.26, 21.18